Arrangement i

VASP calculation (GGA-PBE) on a relaxed Nb8N5 crystal.

a = 5.371 Å, b = 5.371 Å, c = 6.238 Å
α = 90.00°, β = 90.00°, γ = 110.27°
Fractional coordinates of all 13 atoms:
Nb (0.247, 0.753, 0.000)
Nb (0.252, 0.748, 0.500)
Nb (0.255, 0.255, 0.251)
Nb (0.255, 0.255, 0.749)
Nb (0.745, 0.745, 0.251)
Nb (0.745, 0.745, 0.749)
Nb (0.748, 0.252, 0.500)
Nb (0.753, 0.247, 0.000)
N (0.000, 0.000, 0.500)
N (0.000, 0.500, 0.248)
N (0.000, 0.500, 0.752)
N (0.500, 0.000, 0.248)
N (0.500, 0.000, 0.752)

Magnetization   0.00 μB/f.u.
Space-group type   Cmmm
Mass density   8.00 Mg/m³

Arrangement ii

VASP calculation (GGA-PBE) on a relaxed Nb8N5 crystal.

a = 4.383 Å, b = 4.383 Å, c = 8.799 Å
α = 90.00°, β = 90.00°, γ = 90.00°
Fractional coordinates of all 13 atoms:
Nb (0.000, 0.000, 0.248)
Nb (0.000, 0.000, 0.752)
Nb (0.000, 0.500, 0.000)
Nb (0.000, 0.500, 0.500)
Nb (0.500, 0.000, 0.000)
Nb (0.500, 0.000, 0.500)
Nb (0.500, 0.500, 0.248)
Nb (0.500, 0.500, 0.752)
N (0.000, 0.000, 0.500)
N (0.000, 0.500, 0.251)
N (0.000, 0.500, 0.749)
N (0.500, 0.000, 0.251)
N (0.500, 0.000, 0.749)

Magnetization   0.01 μB/f.u.
Space-group type   P4/mmm
Mass density   7.99 Mg/m³

Most stable to least stable, the ends of the list are arrangement i and arrangement ii.

Arrangement i

VASP calculation (GGA-PBE) on a relaxed YNb2NO5 crystal.

a = 5.271 Å, b = 14.991 Å, c = 5.957 Å
α = 90.00°, β = 90.31°, γ = 90.00°
Fractional coordinates of all 36 atoms:
Y (0.000, 0.248, 0.000)
Y (0.000, 0.752, 0.500)
Y (0.481, 0.248, 0.593)
Y (0.481, 0.752, 0.093)
Nb (0.472, 0.413, 0.110)
Nb (0.472, 0.587, 0.610)
Nb (0.521, 0.083, 0.115)
Nb (0.521, 0.917, 0.615)
Nb (0.971, 0.418, 0.481)
Nb (0.971, 0.582, 0.981)
Nb (0.999, 0.076, 0.482)
Nb (0.999, 0.924, 0.982)
N (0.353, 0.332, 0.908)
N (0.353, 0.668, 0.408)
N (0.838, 0.007, 0.179)
N (0.838, 0.993, 0.679)
O (0.136, 0.166, 0.682)
O (0.136, 0.834, 0.182)
O (0.148, 0.494, 0.166)
O (0.148, 0.506, 0.666)
O (0.220, 0.152, 0.215)
O (0.220, 0.848, 0.715)
O (0.284, 0.352, 0.386)
O (0.284, 0.648, 0.886)
O (0.335, 0.005, 0.432)
O (0.335, 0.995, 0.932)
O (0.643, 0.166, 0.907)
O (0.643, 0.834, 0.407)
O (0.666, 0.495, 0.434)
O (0.666, 0.505, 0.934)
O (0.706, 0.152, 0.383)
O (0.706, 0.848, 0.883)
O (0.789, 0.349, 0.213)
O (0.789, 0.651, 0.713)
O (0.849, 0.332, 0.679)
O (0.849, 0.668, 0.179)

Space-group type   Pc
Mass density   5.20 Mg/m³

Arrangement ii

VASP calculation (GGA-PBE) on a relaxed YNb2NO5 crystal.

a = 5.292 Å, b = 5.850 Å, c = 15.038 Å
α = 89.93°, β = 89.98°, γ = 89.21°
Fractional coordinates of all 36 atoms:
Y (0.000, 0.000, 0.000)
Y (0.000, 0.492, 0.507)
Y (0.473, 0.433, 0.005)
Y (0.476, 0.930, 0.506)
Nb (0.018, 0.024, 0.335)
Nb (0.032, 0.521, 0.166)
Nb (0.464, 0.406, 0.677)
Nb (0.464, 0.906, 0.829)
Nb (0.504, 0.893, 0.164)
Nb (0.529, 0.395, 0.339)
Nb (0.942, 0.030, 0.670)
Nb (0.943, 0.531, 0.836)
N (0.141, 0.305, 0.088)
N (0.218, 0.783, 0.102)
N (0.628, 0.099, 0.745)
N (0.632, 0.601, 0.759)
O (0.130, 0.352, 0.747)
O (0.132, 0.853, 0.758)
O (0.140, 0.814, 0.421)
O (0.232, 0.145, 0.597)
O (0.234, 0.285, 0.410)
O (0.238, 0.642, 0.906)
O (0.333, 0.613, 0.587)
O (0.334, 0.114, 0.917)
O (0.342, 0.077, 0.264)
O (0.349, 0.572, 0.253)
O (0.643, 0.101, 0.083)
O (0.643, 0.606, 0.423)
O (0.710, 0.622, 0.107)
O (0.729, 0.131, 0.412)
O (0.747, 0.296, 0.598)
O (0.747, 0.795, 0.908)
O (0.826, 0.320, 0.919)
O (0.829, 0.817, 0.586)
O (0.833, 0.847, 0.254)
O (0.848, 0.336, 0.268)

Magnetization   0.00 μB/f.u.
Space-group type   P1
Mass density   5.26 Mg/m³

Most stable to least stable, the ends of the list are arrangement ii and arrangement i.

Arrangement i

VASP calculation (GGA-PBE) on a relaxed YNb2NO5 crystal.

a = 5.294 Å, b = 5.944 Å, c = 15.043 Å
α = 89.67°, β = 89.30°, γ = 89.67°
Fractional coordinates of all 36 atoms:
Y (0.249, 0.298, 0.499)
Y (0.250, 0.793, 0.997)
Y (0.750, 0.207, 0.003)
Y (0.751, 0.702, 0.501)
Nb (0.220, 0.813, 0.663)
Nb (0.248, 0.327, 0.838)
Nb (0.267, 0.815, 0.330)
Nb (0.284, 0.322, 0.166)
Nb (0.716, 0.678, 0.834)
Nb (0.733, 0.185, 0.670)
Nb (0.752, 0.673, 0.162)
Nb (0.780, 0.187, 0.337)
N (0.108, 0.612, 0.582)
N (0.466, 0.578, 0.098)
N (0.534, 0.422, 0.902)
N (0.892, 0.388, 0.418)
O (0.032, 0.593, 0.898)
O (0.037, 0.091, 0.601)
O (0.100, 0.627, 0.245)
O (0.101, 0.118, 0.919)
O (0.104, 0.131, 0.257)
O (0.396, 0.105, 0.084)
O (0.397, 0.615, 0.414)
O (0.404, 0.632, 0.757)
O (0.417, 0.142, 0.748)
O (0.462, 0.081, 0.398)
O (0.538, 0.919, 0.602)
O (0.583, 0.858, 0.252)
O (0.596, 0.368, 0.243)
O (0.603, 0.385, 0.586)
O (0.604, 0.895, 0.916)
O (0.896, 0.869, 0.743)
O (0.899, 0.882, 0.081)
O (0.900, 0.373, 0.755)
O (0.963, 0.909, 0.399)
O (0.968, 0.407, 0.102)

Magnetization   0.00 μB/f.u.
Space-group type   P-1
Mass density   5.17 Mg/m³

Arrangement ii

VASP calculation (GGA-PBE) on a relaxed YNb2NO5 crystal.

a = 5.283 Å, b = 5.924 Å, c = 14.997 Å
α = 89.82°, β = 89.78°, γ = 89.80°
Fractional coordinates of all 36 atoms:
Y (0.000, 0.000, 0.000)
Y (0.001, 0.500, 0.498)
Y (0.496, 0.915, 0.501)
Y (0.498, 0.404, 0.002)
Nb (0.010, 0.530, 0.831)
Nb (0.016, 0.012, 0.673)
Nb (0.464, 0.377, 0.339)
Nb (0.465, 0.885, 0.172)
Nb (0.515, 0.383, 0.665)
Nb (0.531, 0.894, 0.835)
Nb (0.972, 0.533, 0.168)
Nb (0.988, 0.018, 0.331)
N (0.152, 0.826, 0.244)
N (0.278, 0.131, 0.400)
N (0.644, 0.094, 0.918)
N (0.850, 0.826, 0.756)
O (0.141, 0.325, 0.917)
O (0.145, 0.814, 0.582)
O (0.146, 0.337, 0.253)
O (0.208, 0.786, 0.898)
O (0.223, 0.292, 0.596)
O (0.274, 0.624, 0.096)
O (0.334, 0.559, 0.752)
O (0.341, 0.078, 0.742)
O (0.348, 0.094, 0.086)
O (0.350, 0.602, 0.418)
O (0.644, 0.573, 0.240)
O (0.645, 0.590, 0.582)
O (0.651, 0.077, 0.254)
O (0.706, 0.612, 0.901)
O (0.716, 0.121, 0.599)
O (0.776, 0.788, 0.097)
O (0.777, 0.301, 0.399)
O (0.844, 0.330, 0.742)
O (0.845, 0.819, 0.418)
O (0.856, 0.321, 0.083)

Magnetization   0.00 μB/f.u.
Space-group type   P1
Mass density   5.22 Mg/m³

Most stable to least stable, the ends of the list are arrangement ii and arrangement i.